# H2Os3C8S2O8

A relaxed structure of H2Os3C8S2O8 (GGA-PBE, the Materials Project database).

Output
Calculated formation energy (eV per atom): -0.907
SG: No. 15
Corrected total energy (MP2020 scheme) (eV/atom): -7.957
Magnetic moment (μB per atom): 0.00
Crystal system: monoclinic

a = 8.8471 Å, b = 8.8471 Å, c = 11.6875 Å
α = 72.87°, β = 72.87°, γ = 92.07°
Last column: nearest neighbours and their distance in Å.
Atoms (fractional coordinates):
C (0.3764, 0.0273, 0.7857)  1 O 1.16
C (0.1462, 0.0182, 0.1275)  1 O 1.17
C (0.3499, 0.3883, 0.1924)  1 O 1.16
C (0.6236, 0.9727, 0.2143)  1 O 1.16
C (0.3883, 0.3499, 0.6924)  1 O 1.16
C (0.1889, 0.5516, 0.0367)  1 O 1.16
C (0.5516, 0.1889, 0.5367)  1 O 1.16
C (0.6501, 0.6117, 0.8076)  1 O 1.16
C (0.0182, 0.1462, 0.6275)  1 O 1.17
C (0.9818, 0.8538, 0.3725)  1 O 1.17
C (0.8538, 0.9818, 0.8725)  1 O 1.17
C (0.9727, 0.6236, 0.7143)  1 O 1.16
C (0.8111, 0.4484, 0.9633)  1 O 1.16
C (0.4484, 0.8111, 0.4633)  1 O 1.16
C (0.6117, 0.6501, 0.3076)  1 O 1.16
C (0.0273, 0.3764, 0.2857)  1 O 1.16
O (0.0754, 0.7288, 0.6634)  1 C 1.16
O (0.1812, 0.5564, 0.9384)  1 C 1.16
O (0.1339, 0.1347, 0.0530)  1 C 1.17
O (0.1347, 0.1339, 0.5530)  1 C 1.17
O (0.5564, 0.1812, 0.4384)  1 C 1.16
O (0.4436, 0.8188, 0.5616)  1 C 1.16
O (0.7034, 0.5596, 0.3116)  1 C 1.16
O (0.8188, 0.4436, 0.0616)  1 C 1.16
O (0.8653, 0.8661, 0.4470)  1 C 1.17
O (0.4404, 0.2966, 0.1884)  1 C 1.16
O (0.2712, 0.9246, 0.8366)  1 C 1.16
O (0.9246, 0.2712, 0.3366)  1 C 1.16
O (0.8661, 0.8653, 0.9470)  1 C 1.17
O (0.5596, 0.7034, 0.8116)  1 C 1.16
O (0.7288, 0.0754, 0.1634)  1 C 1.16
O (0.2966, 0.4404, 0.6884)  1 C 1.16
Os (0.5413, 0.2074, 0.6986)  3 C 1.88-1.93, 1 H 2.01
Os (0.1667, 0.8333, 0.2500)  2 H 1.76, 2 C 1.89
Os (0.4587, 0.7926, 0.3014)  3 C 1.88-1.93, 1 H 2.01
Os (0.8333, 0.1667, 0.7500)  2 H 1.76, 2 C 1.89
Os (0.2074, 0.5413, 0.1986)  3 C 1.88-1.93, 1 H 2.01
Os (0.7926, 0.4587, 0.8014)  3 C 1.88-1.93, 1 H 2.01
H (0.2954, 0.9450, 0.2941)  1 Os 1.76
H (0.7046, 0.0550, 0.7059)  1 Os 1.76
H (0.9450, 0.2954, 0.7941)  1 Os 1.76
H (0.0550, 0.7046, 0.2059)  1 Os 1.76
S (0.4096, 0.7765, 0.1102)  3 Os 2.44-2.46
S (0.2235, 0.5904, 0.3898)  3 Os 2.44-2.46
S (0.5904, 0.2235, 0.8898)  3 Os 2.44-2.46
S (0.7765, 0.4096, 0.6102)  3 Os 2.44-2.46